1.
A relaxed structure of K2FeP2S6. Source: the Materials Project, functional PBE-GGA.

Cell: 6.051 12.495 8.706 Å, 90.00 120.29 90.00°
Space group P2_1/c (No. 14)
Inequivalent atoms, fractional coordinates:
K (0.161, 0.190, 0.458)
Fe (0.500, 0.000, 0.000)
P (0.153, 0.526, 0.635)
S (0.057, 0.050, 0.744)
S (0.318, 0.656, 0.592)
S (0.415, 0.094, 0.226)


2.
A relaxed structure of KRbFe4S6. Source: the Materials Project, functional PBE-GGA.

Cell: 5.178 8.978 11.243 Å, 90.00 90.00 90.00°
Space group Amm2 (No. 38)
Inequivalent atoms, fractional coordinates:
K (0.000, 0.000, 0.000)
Rb (0.500, 0.000, 0.341)
Fe (0.250, 0.142, 0.670)
S (0.000, 0.000, 0.562)
S (0.000, 0.227, 0.278)
S (0.500, 0.000, 0.779)
S (0.500, 0.224, 0.064)


3.
A relaxed structure of K9Fe2S7. Source: the Materials Project, functional PBE-GGA.

Cell: 12.761 12.761 12.761 Å, 90.00 90.00 90.00°
Space group P2_13 (No. 198)
Inequivalent atoms, fractional coordinates:
K (0.002, 0.300, 0.833)
K (0.042, 0.791, 0.178)
K (0.059, 0.059, 0.059)
K (0.087, 0.587, 0.913)
K (0.238, 0.238, 0.238)
Fe (0.070, 0.930, 0.430)
Fe (0.099, 0.401, 0.599)
S (0.059, 0.312, 0.076)
S (0.069, 0.836, 0.912)
S (0.206, 0.294, 0.706)


4.
A relaxed structure of KFe2S2. Source: the Materials Project, functional PBE-GGA.

Cell: 3.693 3.693 12.844 Å, 90.00 90.00 90.00°
Space group I4/mmm (No. 139)
Inequivalent atoms, fractional coordinates:
K (0.000, 0.000, 0.000)
Fe (0.000, 0.500, 0.250)
S (0.000, 0.000, 0.341)


5.
A relaxed structure of K3Fe2S4. Source: the Materials Project, functional PBE-GGA.

Cell: 7.215 10.798 11.722 Å, 90.00 90.00 90.00°
Space group Pnma (No. 62)
Inequivalent atoms, fractional coordinates:
K (0.064, 0.075, 0.139)
K (0.088, 0.250, 0.768)
Fe (0.049, 0.129, 0.472)
S (0.091, 0.750, 0.659)
S (0.148, 0.551, 0.391)
S (0.208, 0.750, 0.033)


6.
A relaxed structure of K7Fe5S10. Source: the Materials Project, functional PBE-GGA.

Cell: 27.632 11.598 7.299 Å, 90.00 103.08 90.00°
Space group C2/c (No. 15)
Inequivalent atoms, fractional coordinates:
K (0.000, 0.107, 0.250)
K (0.075, 0.403, 0.433)
K (0.146, 0.028, 0.512)
K (0.218, 0.391, 0.538)
Fe (0.000, 0.237, 0.750)
Fe (0.101, 0.267, 0.939)
Fe (0.199, 0.275, 0.009)
S (0.032, 0.339, 0.009)
S (0.066, 0.130, 0.718)
S (0.147, 0.400, 0.828)
S (0.153, 0.215, 0.211)
S (0.230, 0.139, 0.835)


7.
A relaxed structure of KFeS2. Source: the Materials Project, functional PBE-GGA.

Cell: 7.022 11.289 5.371 Å, 90.00 112.25 90.00°
Space group C2/c (No. 15)
Inequivalent atoms, fractional coordinates:
K (0.000, 0.142, 0.250)
Fe (0.000, 0.498, 0.750)
S (0.191, 0.394, 0.097)


8.
A relaxed structure of K2Fe2SeS3. Source: the Materials Project, functional PBE-GGA.

Cell: 5.452 6.682 6.697 Å, 116.08 101.02 101.89°
Space group P1 (No. 1)
Inequivalent atoms, fractional coordinates:
K (0.000, 0.000, 0.000)
K (0.500, 0.273, 0.711)
Fe (0.004, 0.636, 0.369)
Fe (0.512, 0.645, 0.362)
Se (0.156, 0.554, 0.046)
S (0.353, 0.725, 0.655)
S (0.657, 0.345, 0.281)
S (0.860, 0.936, 0.454)


9.
A relaxed structure of KFe4Sb12. Source: the Materials Project, functional PBE-GGA.

Cell: 9.241 9.241 9.241 Å, 90.00 90.00 90.00°
Space group Im-3 (No. 204)
Inequivalent atoms, fractional coordinates:
K (0.000, 0.000, 0.000)
Fe (0.250, 0.250, 0.250)
Sb (0.000, 0.337, 0.162)


10.
A relaxed structure of KFe2Se2. Source: the Materials Project, functional PBE-GGA.

Cell: 3.784 3.784 14.906 Å, 90.00 90.00 90.00°
Space group I4/mmm (No. 139)
Inequivalent atoms, fractional coordinates:
K (0.000, 0.000, 0.000)
Fe (0.000, 0.500, 0.250)
Se (0.000, 0.000, 0.359)


11.
A relaxed structure of K3Fe8Se8. Source: the Materials Project, functional PBE-GGA.

Cell: 7.451 8.090 8.212 Å, 71.98 63.06 76.65°
Space group P-1 (No. 2)
Inequivalent atoms, fractional coordinates:
K (0.000, 0.000, 0.000)
K (0.263, 0.000, 0.474)
Fe (0.063, 0.500, 0.624)
Fe (0.187, 0.500, 0.875)
Fe (0.312, 0.499, 0.125)
Fe (0.437, 0.501, 0.375)
Se (0.088, 0.286, 0.180)
Se (0.161, 0.714, 0.320)
Se (0.338, 0.285, 0.680)
Se (0.410, 0.713, 0.820)


12.
A relaxed structure of K3FeSe3. Source: the Materials Project, functional PBE-GGA.

Cell: 8.129 13.031 10.528 Å, 90.00 127.54 90.00°
Space group P2_1/c (No. 14)
Inequivalent atoms, fractional coordinates:
K (0.116, 0.129, 0.477)
K (0.154, 0.080, 0.897)
K (0.371, 0.690, 0.582)
Fe (0.440, 0.057, 0.348)
Se (0.150, 0.173, 0.192)
Se (0.344, 0.612, 0.875)
Se (0.374, 0.549, 0.260)


13.
A relaxed structure of KFe2Se3. Source: the Materials Project, functional PBE-GGA.

Cell: 9.110 11.433 5.359 Å, 90.00 90.00 90.00°
Space group Cmcm (No. 63)
Inequivalent atoms, fractional coordinates:
K (0.000, 0.166, 0.250)
Fe (0.144, 0.500, 0.000)
Se (0.000, 0.382, 0.750)
Se (0.217, 0.113, 0.750)


14.
A relaxed structure of K2Fe5Se5. Source: the Materials Project, functional PBE-GGA.

Cell: 8.310 8.310 15.246 Å, 90.00 90.00 90.00°
Space group I4/m (No. 87)
Inequivalent atoms, fractional coordinates:
K (0.120, 0.307, 0.000)
Fe (0.000, 0.500, 0.250)
Fe (0.100, 0.802, 0.249)
Se (0.000, 0.000, 0.140)
Se (0.099, 0.301, 0.356)


Number 1: mass density 2.27 g/cm³, calculated formation energy -905 meV per atom. Number 2: mass density 3.43 g/cm³, calculated formation energy -931 meV per atom. Number 3: mass density 2.20 g/cm³, calculated formation energy -1170 meV per atom. Number 4: mass density 4.07 g/cm³, calculated formation energy -875 meV per atom. Number 5: mass density 2.60 g/cm³, calculated formation energy -912 meV per atom. Number 6: mass density 2.55 g/cm³, calculated formation energy -1049 meV per atom. Number 7: mass density 2.68 g/cm³, calculated formation energy -1002 meV per atom. Number 8: mass density 2.98 g/cm³, calculated formation energy -912 meV per atom. Number 9: mass density 7.25 g/cm³, calculated formation energy -224 meV per atom. Number 10: mass density 4.80 g/cm³, calculated formation energy -681 meV per atom. Number 11: mass density 4.76 g/cm³, calculated formation energy -644 meV per atom. Number 12: mass density 3.08 g/cm³, calculated formation energy -1077 meV per atom. Number 13: mass density 4.61 g/cm³, calculated formation energy -736 meV per atom. Number 14: mass density 4.75 g/cm³, calculated formation energy -653 meV per atom.